{"formula": "Ag3Bi7S12", "functional": "GGA-PBE", "state": "optimized geometry", "cell": [[6.735, -2.037, 0.000], [6.735, 2.037, 0.000], [-4.282, 0.000, 19.998]], "species": ["Ag", "Ag", "Ag", "Bi", "Bi", "Bi", "Bi", "Bi", "Bi", "Bi", "S", "S", "S", "S", "S", "S", "S", "S", "S", "S", "S", "S"], "frac_coords": [[0.000, 0.000, 0.000], [0.299, 0.299, 0.588], [0.701, 0.701, 0.412], [0.000, 0.000, 0.500], [0.082, 0.082, 0.232], [0.238, 0.238, 0.911], [0.386, 0.386, 0.327], [0.614, 0.614, 0.673], [0.762, 0.762, 0.089], [0.918, 0.918, 0.768], [0.032, 0.032, 0.368], [0.126, 0.126, 0.111], [0.267, 0.267, 0.710], [0.348, 0.348, 0.466], [0.362, 0.362, 0.029], [0.437, 0.437, 0.203], [0.563, 0.563, 0.797], [0.638, 0.638, 0.971], [0.652, 0.652, 0.534], [0.733, 0.733, 0.290], [0.874, 0.874, 0.889], [0.968, 0.968, 0.632]], "rho_g_cm3": 6.57, "final_energy_ev_per_cell": -91.6, "formation_enthalpy_0k_ev_per_atom": -0.5584}

***

{"formula": "AgBi6S9", "functional": "GGA-PBE", "state": "optimized geometry", "cell": [[6.888, -2.047, 0.000], [6.888, 2.047, 0.000], [-2.413, 0.000, 14.883]], "species": ["Ag", "Bi", "Bi", "Bi", "Bi", "Bi", "Bi", "S", "S", "S", "S", "S", "S", "S", "S", "S"], "frac_coords": [[0.000, 0.000, 0.000], [0.059, 0.059, 0.310], [0.250, 0.250, 0.883], [0.353, 0.353, 0.436], [0.647, 0.647, 0.564], [0.750, 0.750, 0.117], [0.941, 0.941, 0.690], [0.000, 0.000, 0.500], [0.115, 0.115, 0.147], [0.291, 0.291, 0.615], [0.357, 0.357, 0.042], [0.421, 0.421, 0.274], [0.579, 0.579, 0.726], [0.643, 0.643, 0.958], [0.709, 0.709, 0.385], [0.885, 0.885, 0.853]], "rho_g_cm3": 6.53, "final_energy_ev_per_cell": -68.1, "formation_enthalpy_0k_ev_per_atom": -0.5743}